(1)
Computed, not measured: a geometry-optimized MgTi4O8 structure at the PBE-GGA level of DFT.

Output
The total magnetic moment is 0.68 μB per cell. The value obtained for the calculated total energy is -8.435 eV/atom. The formation energy from the elements is -75.2 kcal/mol of atoms. The space-group type is Cm. The polymorph energy (0 for the lowest one) is 78.2 meV/atom.

abc: 6.059 5.974 5.974
angles: 60.03 60.50 60.50
Element x y z (fractional)
1 Mg 0.126 0.624 0.624
2 Ti 0.257 0.248 0.248
3 Ti 0.638 0.104 0.629
4 Ti 0.638 0.629 0.104
5 Ti 0.636 0.630 0.630
6 O 0.386 0.378 0.378
7 O 0.385 0.378 0.857
8 O 0.385 0.857 0.378
9 O 0.868 0.377 0.377
10 O 0.420 0.860 0.860
11 O 0.846 0.418 0.867
12 O 0.846 0.867 0.418
13 O 0.848 0.867 0.867

(2)
Computed, not measured: a geometry-optimized MgTi4O8 structure at the PBE-GGA level of DFT.

Output
The total magnetic moment is 0.32 μB per cell. The value obtained for the calculated total energy is -8.331 eV/atom. The formation energy from the elements is -72.8 kcal/mol of atoms. The space-group type is I4/m. The polymorph energy (0 for the lowest one) is 182.5 meV/atom.

abc: 2.970 7.376 7.378
angles: 87.70 78.39 78.38
Element x y z (fractional)
1 Mg 0.500 0.000 0.000
2 Ti 0.648 0.182 0.521
3 Ti 0.170 0.479 0.182
4 Ti 0.830 0.521 0.818
5 Ti 0.352 0.818 0.479
6 O 0.836 0.706 0.622
7 O 0.458 0.377 0.707
8 O 0.542 0.623 0.293
9 O 0.164 0.294 0.378
10 O 0.153 0.047 0.647
11 O 0.800 0.353 0.047
12 O 0.847 0.953 0.353
13 O 0.200 0.647 0.953

(3)
Computed, not measured: a geometry-optimized MgTiO2 structure at the PBE-GGA level of DFT.

Output
The total magnetic moment is 0.00 μB per cell. The value obtained for the calculated total energy is -6.776 eV/atom. The formation energy from the elements is -52.4 kcal/mol of atoms. The space-group type is C2/m.

abc: 4.756 2.958 4.756
angles: 65.71 75.81 65.71
Element x y z (fractional)
1 Mg 0.500 0.000 0.500
2 Ti 0.000 0.000 0.000
3 O 0.200 0.237 0.200
4 O 0.800 0.763 0.800

(4)
Computed, not measured: a geometry-optimized MgTi4O8 structure at the PBE-GGA level of DFT.

Output
The total magnetic moment is 2.00 μB per cell. The value obtained for the calculated total energy is -8.440 eV/atom. The formation energy from the elements is -75.3 kcal/mol of atoms. The space-group type is Cm. The polymorph energy (0 for the lowest one) is 73.4 meV/atom.

abc: 6.451 5.853 5.852
angles: 64.35 53.88 53.89
Element x y z (fractional)
1 Mg 0.062 0.913 0.912
2 Ti 0.336 0.208 0.207
3 Ti 0.633 0.122 0.595
4 Ti 0.633 0.596 0.122
5 Ti 0.680 0.602 0.601
6 O 0.425 0.351 0.350
7 O 0.371 0.443 0.850
8 O 0.371 0.851 0.443
9 O 0.907 0.328 0.327
10 O 0.413 0.879 0.878
11 O 0.882 0.357 0.823
12 O 0.882 0.824 0.356
13 O 0.735 0.930 0.929

(5)
Computed, not measured: a geometry-optimized MgTiO3 structure at the PBE-GGA level of DFT.

Output
The total magnetic moment is 0.00 μB per cell. The value obtained for the calculated total energy is -7.369 eV/atom. The formation energy from the elements is -67.2 kcal/mol of atoms. The space-group type is Pm-3m.

abc: 3.842 3.842 3.842
angles: 90.00 90.00 90.00
Element x y z (fractional)
1 Mg 0.000 0.000 0.000
2 Ti 0.500 0.500 0.500
3 O 0.500 0.500 0.000
4 O 0.500 0.000 0.500
5 O 0.000 0.500 0.500

(6)
Computed, not measured: a geometry-optimized MgTi4O8 structure at the PBE-GGA level of DFT.

Output
The total magnetic moment is 0.20 μB per cell. The value obtained for the calculated total energy is -8.375 eV/atom. The formation energy from the elements is -73.8 kcal/mol of atoms. The space-group type is P-1. The polymorph energy (0 for the lowest one) is 138.4 meV/atom.

abc: 3.854 6.486 6.439
angles: 85.28 73.89 72.70
Element x y z (fractional)
1 Mg 0.500 0.000 0.000
2 Ti 0.690 0.308 0.296
3 Ti 0.001 0.309 0.705
4 Ti 0.999 0.691 0.295
5 Ti 0.310 0.692 0.704
6 O 0.513 0.335 0.649
7 O 0.831 0.339 0.001
8 O 0.849 0.664 0.649
9 O 0.851 0.000 0.246
10 O 0.149 0.000 0.754
11 O 0.151 0.336 0.351
12 O 0.169 0.661 0.999
13 O 0.487 0.665 0.351